[1]
Below is an optimized crystal structure of Fe3N, with properties calculated at the PBE level.

For the volume, the calculation gives 10.11 Å³ per atom. The density comes out at 7.5 g/cm³. The calculation puts the total moment at 5.99 μB per formula unit. As for the energy relative to the elements: -0.62 eV/f.u. The calculated total energy is -8.502 eV/atom.

The space group is P312 (No. 149) and the conventional cell measures 4.6569, 4.6569 and 17.2310 Å, with angles of 90.00, 90.00 and 120.00 degrees. The inequivalent atoms are Fe at (0.0001, 0.3259, 0.1876), Fe at (0.0001, 0.3268, 0.9374), Fe at (0.9996, 0.3277, 0.6873), Fe at (0.0060, 0.3397, 0.4377), N at (0.0000, 0.0000, 0.5000), N at (0.3333, 0.6667, 0.0000), N at (0.3333, 0.6667, 0.2505), N at (0.6667, 0.3333, 0.1250) and N at (0.6667, 0.3333, 0.3754).



[2]
Below is an optimized crystal structure of SiC, with properties calculated at the PBE level.

The energy relative to the lowest polymorph listed for this composition comes out at 0 kJ/mol of formula units. For the volume, the calculation gives 10.50 Å³ per atom. The density comes out at 3.2 g/cm³. As for the energy relative to the elements: -0.41 eV/f.u. The calculated total energy is -7.531 eV/atom. Its piezoelectric modulus e_max is 0.06 C/m2.

The space group is P6_3mc (No. 186) and the conventional cell measures 3.0940, 3.0940 and 10.1278 Å, with angles of 90.00, 90.00 and 120.00 degrees. The inequivalent atoms are Si at (0.0000, 0.0000, 0.0000), Si at (0.3333, 0.6667, 0.2500), C at (0.0000, 0.0000, 0.3125) and C at (0.3333, 0.6667, 0.0619).



[3]
Below is an optimized crystal structure of Te4MoW3Se2S2, with properties calculated at the PBE level.

The energy relative to the lowest polymorph listed for this composition comes out at 25 kJ/mol of formula units. For the volume, the calculation gives 32.34 Å³ per atom. The density comes out at 5.9 g/cm³. The calculation puts the total moment at 0.00 μB per formula unit. As for the energy relative to the elements: -5.24 eV/f.u. The calculated total energy is -6.816 eV/atom.

The space group is P3m1 (No. 156) and the conventional cell measures 3.3991, 3.3991 and 38.7839 Å, with angles of 90.00, 90.00 and 120.00 degrees. The inequivalent atoms are Te at (0.0000, 0.0000, 0.0000), Te at (0.0000, 0.0000, 0.0971), Te at (0.0000, 0.0000, 0.3758), Te at (0.0000, 0.0000, 0.4729), Mo at (0.0000, 0.0000, 0.2364), W at (0.0000, 0.0000, 0.8607), W at (0.3333, 0.6667, 0.0486), W at (0.3333, 0.6667, 0.4243), Se at (0.3333, 0.6667, 0.1939), Se at (0.3333, 0.6667, 0.2789), S at (0.3333, 0.6667, 0.8218) and S at (0.3333, 0.6667, 0.8996).



[4]
Below is an optimized crystal structure of Lu2HgAu, with properties calculated at the PBE level.

For the volume, the calculation gives 23.16 Å³ per atom. The density comes out at 13.4 g/cm³. As for the energy relative to the elements: -2.71 eV/f.u. The calculated total energy is -3.832 eV/atom.

The space group is Fm-3m (No. 225) and the conventional cell measures 7.1822, 7.1822 and 7.1822 Å, with angles of 90.00, 90.00 and 90.00 degrees. The inequivalent atoms are Lu at (0.2500, 0.2500, 0.2500), Hg at (0.0000, 0.0000, 0.0000) and Au at (0.0000, 0.0000, 0.5000).



[5]
Below is an optimized crystal structure of CaO2, with properties calculated at the PBE level.

For the volume, the calculation gives 14.18 Å³ per atom. The density comes out at 2.8 g/cm³. The calculation puts the total moment at 2.00 μB per formula unit. As for the energy relative to the elements: -5.77 eV/f.u. The calculated total energy is -5.432 eV/atom.

The space group is C2/c (No. 15) and the conventional cell measures 7.4060, 7.3356 and 7.0400 Å, with angles of 90.00, 117.15 and 90.00 degrees. The inequivalent atoms are Ca at (0.2442, 0.1190, 0.2420), O at (0.0981, 0.3733, 0.9998) and O at (0.1133, 0.1409, 0.5026).



[6]
Below is an optimized crystal structure of Ce3Sn, with properties calculated at the PBE level.

For the volume, the calculation gives 28.12 Å³ per atom. The density comes out at 8.0 g/cm³. The calculation puts the total moment at 0.18 μB per formula unit. As for the energy relative to the elements: -0.53 eV/f.u. The calculated total energy is -5.584 eV/atom.

The space group is R-3m (No. 166, hexagonal axes) and the conventional cell measures 3.4506, 3.4506 and 32.7267 Å, with angles of 90.00, 90.00 and 120.00 degrees. The inequivalent atoms are Ce at (0.0000, 0.0000, 0.0000), Ce at (0.0000, 0.0000, 0.2499) and Sn at (0.0000, 0.0000, 0.5000).



[7]
Below is an optimized crystal structure of VCrC2, with properties calculated at the PBE level.

For the volume, the calculation gives 8.76 Å³ per atom. The density comes out at 6.0 g/cm³. The calculation puts the total moment at 0.25 μB per formula unit. As for the energy relative to the elements: -0.41 eV/f.u. The calculated total energy is -9.401 eV/atom.

The space group is R-3m (No. 166, hexagonal axes) and the conventional cell measures 2.9213, 2.9213 and 14.2182 Å, with angles of 90.00, 90.00 and 120.00 degrees. The inequivalent atoms are V at (0.0000, 0.0000, 0.0000), Cr at (0.0000, 0.0000, 0.5000) and C at (0.0000, 0.0000, 0.2488).